# FePCl8

FePCl8 after structural relaxation (r2SCAN, Materials Project).

Calculated values
DFT formation energy (eV/f.u.): -8.6
Volume (Å³ per cell): 1180
Space-group type: Pbcm, No. 57

Geometry as POSCAR:
```
FePCl8
1.0
-1.798 -5.808 -0.743
8.296 -3.889 10.330
-10.377 2.049 9.106
Cl Fe P
32 4 4
Direct
0.911 0.498 0.750 Cl
0.334 0.180 0.250 Cl
0.089 0.998 0.750 Cl
0.768 0.199 0.399 Cl
0.862 0.853 0.450 Cl
0.138 0.147 0.550 Cl
0.768 0.301 0.899 Cl
0.232 0.801 0.601 Cl
0.604 0.042 0.882 Cl
0.396 0.542 0.618 Cl
0.666 0.680 0.250 Cl
0.396 0.958 0.118 Cl
0.604 0.458 0.382 Cl
0.138 0.353 0.050 Cl
0.232 0.699 0.101 Cl
0.862 0.853 0.050 Cl
0.604 0.042 0.618 Cl
0.862 0.647 0.550 Cl
0.862 0.647 0.950 Cl
0.768 0.301 0.601 Cl
0.604 0.458 0.118 Cl
0.768 0.199 0.101 Cl
0.089 0.502 0.250 Cl
0.334 0.320 0.750 Cl
0.138 0.353 0.450 Cl
0.232 0.699 0.399 Cl
0.396 0.958 0.382 Cl
0.232 0.801 0.899 Cl
0.666 0.820 0.750 Cl
0.396 0.542 0.882 Cl
0.138 0.147 0.950 Cl
0.911 0.002 0.250 Cl
0.734 0.523 0.250 Fe
0.266 0.477 0.750 Fe
0.734 0.977 0.750 Fe
0.266 0.023 0.250 Fe
0.047 0.750 0.500 P
0.047 0.750 0.000 P
0.953 0.250 0.500 P
0.953 0.250 0.000 P
```

# Ba3W2O9

Ba3W2O9 after structural relaxation (r2SCAN, Materials Project).

Calculated values
DFT formation energy (eV/f.u.): -40.2
Volume (Å³ per cell): 421
Space-group type: R-3c, No. 167

Geometry as POSCAR:
```
Ba3W2O9
1.0
5.523 -5.103 -0.029
5.523 5.103 -0.029
0.846 0.000 7.472
Ba O W
6 18 4
Direct
0.080 0.750 0.420 Ba
0.750 0.420 0.080 Ba
0.250 0.580 0.920 Ba
0.920 0.250 0.580 Ba
0.420 0.080 0.750 Ba
0.580 0.920 0.250 Ba
0.250 0.105 0.395 O
0.605 0.750 0.895 O
0.251 0.929 0.087 O
0.587 0.429 0.751 O
0.749 0.071 0.913 O
0.105 0.395 0.250 O
0.413 0.571 0.249 O
0.429 0.751 0.587 O
0.571 0.249 0.413 O
0.249 0.413 0.571 O
0.395 0.250 0.105 O
0.929 0.087 0.251 O
0.750 0.895 0.605 O
0.751 0.587 0.429 O
0.087 0.251 0.929 O
0.071 0.913 0.749 O
0.895 0.605 0.750 O
0.913 0.749 0.071 O
0.355 0.355 0.355 W
0.855 0.855 0.855 W
0.145 0.145 0.145 W
0.645 0.645 0.645 W
```

# NdNiBi

NdNiBi after structural relaxation (r2SCAN, Materials Project).

Calculated values
DFT formation energy (eV/f.u.): -2.2
Volume (Å³ per cell): 72
Space-group type: F-43m, No. 216

Geometry as POSCAR:
```
NdNiBi
1.0
-2.973 0.119 3.592
-0.200 3.771 2.738
-3.730 2.797 -0.151
Ni Nd Bi
1 1 1
Direct
0.750 0.750 0.750 Ni
0.500 0.500 0.500 Nd
0.000 0.000 0.000 Bi
```

# InAuO2

InAuO2 after structural relaxation (r2SCAN, Materials Project).

Calculated values
DFT formation energy (eV/f.u.): -4.7
Volume (Å³ per cell): 118
Space-group type: P6_3/mmc, No. 194

Geometry as POSCAR:
```
InAuO2
1.0
1.661 -2.878 0.000
1.661 2.878 0.000
0.000 0.000 12.383
O Au In
4 2 2
Direct
0.667 0.333 0.584 O
0.333 0.667 0.084 O
0.333 0.667 0.416 O
0.667 0.333 0.916 O
0.667 0.333 0.750 Au
0.333 0.667 0.250 Au
0.000 0.000 0.500 In
0.000 0.000 0.000 In
```

- Look up the DFT formation energy of the fourth one.
  -4.7 eV/f.u.

- What is the volume in the second record?
  421 Å³ per cell

- What is the volume in the second record?
  421 Å³ per cell

- Which of these has the lowest DFT formation energy?
  Ba3W2O9